No. 1
Material: LiBH4
Method: DFT, PBE
State: optimized geometry

Cell lengths 3.964, 3.964, 6.395 Å; angles 90.00, 90.00, 90.54 degrees
Fractional coordinates of all 12 atoms:
1 H 0.739 0.773 0.750
2 H 0.773 0.739 0.250
3 B 0.981 0.515 0.250
4 H 0.527 0.163 0.905
5 H 0.163 0.527 0.405
6 Li 0.005 0.005 0.500
7 B 0.515 0.981 0.750
8 Li 0.005 0.005 0.000
9 H 0.256 0.811 0.750
10 H 0.811 0.256 0.250
11 H 0.527 0.163 0.595
12 H 0.163 0.527 0.095

Calculated values
The value obtained for the magnetic moment is 0.0 μB/f.u. The energy relative to the lowest polymorph listed for this composition comes out at 0.021 eV per atom.

---

No. 2
Material: Sr2LuBiO6
Method: DFT, PBE
State: optimized geometry

Cell lengths 6.007, 5.907, 10.284 Å; angles 54.85, 90.00, 90.00 degrees
Fractional coordinates of all 20 atoms:
1 Bi 0.000 0.000 0.000
2 Bi 0.500 0.000 0.500
3 O 0.294 0.335 0.454
4 Lu 0.500 0.500 0.000
5 O 0.794 0.665 0.046
6 O 0.211 0.751 0.546
7 Sr 0.459 0.259 0.750
8 Sr 0.959 0.741 0.750
9 O 0.471 0.160 0.253
10 O 0.289 0.751 0.046
11 O 0.029 0.160 0.753
12 O 0.529 0.840 0.747
13 O 0.971 0.840 0.247
14 O 0.206 0.335 0.954
15 Sr 0.041 0.259 0.250
16 O 0.789 0.249 0.454
17 O 0.711 0.249 0.954
18 O 0.706 0.665 0.546
19 Sr 0.541 0.741 0.250
20 Lu 0.000 0.500 0.500

Calculated values
The value obtained for the magnetic moment is 0.0 μB/f.u.

---

No. 3
Material: Mg2Nb2TeO8
Method: DFT, PBE
State: optimized geometry

Cell lengths 5.214, 6.167, 11.426 Å; angles 101.96, 96.18, 89.79 degrees
Fractional coordinates of all 26 atoms:
1 O 0.573 0.680 0.611
2 Nb 0.220 0.025 0.280
3 O 0.943 0.117 0.399
4 O 0.486 0.960 0.807
5 O 0.367 0.859 0.401
6 O 0.514 0.040 0.193
7 Mg 0.759 0.398 0.533
8 Mg 0.251 0.124 0.545
9 O 0.009 0.239 0.191
10 O 0.458 0.508 0.849
11 O 0.037 0.776 0.173
12 O 0.633 0.141 0.599
13 Mg 0.241 0.602 0.467
14 O 0.861 0.566 0.395
15 O 0.991 0.761 0.809
16 Mg 0.749 0.876 0.455
17 Nb 0.780 0.975 0.720
18 O 0.427 0.320 0.389
19 O 0.139 0.434 0.605
20 Te 0.175 0.339 0.980
21 O 0.057 0.883 0.601
22 O 0.542 0.492 0.151
23 O 0.963 0.224 0.827
24 Te 0.825 0.661 0.020
25 Nb 0.700 0.336 0.260
26 Nb 0.300 0.664 0.740

Calculated values
The value obtained for the magnetic moment is 0.0 μB/f.u.

---

No. 4
Material: SbS8Cl5O
Method: DFT, PBE
State: optimized geometry

Cell lengths 9.474, 11.051, 17.609 Å; angles 90.00, 90.00, 90.00 degrees
Fractional coordinates of all 60 atoms:
1 S 0.925 0.272 0.781
2 Cl 0.501 0.292 0.033
3 Cl 0.250 0.403 0.475
4 S 0.497 0.095 0.782
5 O 0.250 0.290 0.640
6 Cl 0.750 0.981 0.400
7 S 0.750 0.224 0.212
8 S 0.997 0.905 0.218
9 S 0.425 0.772 0.719
10 S 0.075 0.772 0.719
11 S 0.750 0.580 0.330
12 S 0.250 0.724 0.288
13 S 0.575 0.272 0.781
14 Cl 0.999 0.292 0.033
15 Cl 0.750 0.903 0.025
16 Cl 0.250 0.097 0.975
17 Sb 0.250 0.301 0.026
18 S 0.069 0.514 0.622
19 S 0.750 0.920 0.830
20 Cl 0.750 0.604 0.095
21 Sb 0.250 0.199 0.526
22 S 0.431 0.514 0.622
23 S 0.003 0.405 0.282
24 Cl 0.250 0.481 0.100
25 O 0.250 0.210 0.140
26 S 0.575 0.228 0.281
27 Sb 0.750 0.699 0.974
28 Cl 0.501 0.208 0.533
29 S 0.997 0.595 0.718
30 Cl 0.250 0.396 0.905
31 Cl 0.499 0.792 0.467
32 S 0.925 0.228 0.281
33 S 0.931 0.486 0.378
34 S 0.003 0.095 0.782
35 Cl 0.250 0.104 0.405
36 Sb 0.750 0.801 0.474
37 Cl 0.001 0.708 0.967
38 S 0.750 0.276 0.712
39 S 0.503 0.905 0.218
40 S 0.250 0.420 0.670
41 Cl 0.499 0.708 0.967
42 Cl 0.750 0.896 0.595
43 Cl 0.001 0.792 0.467
44 Cl 0.750 0.519 0.900
45 S 0.069 0.986 0.122
46 O 0.750 0.710 0.360
47 Cl 0.250 0.019 0.600
48 S 0.503 0.595 0.718
49 S 0.431 0.986 0.122
50 Cl 0.999 0.208 0.533
51 S 0.250 0.080 0.170
52 O 0.750 0.790 0.860
53 S 0.931 0.014 0.878
54 S 0.569 0.014 0.878
55 Cl 0.750 0.597 0.525
56 S 0.075 0.728 0.219
57 S 0.250 0.776 0.788
58 S 0.569 0.486 0.378
59 S 0.497 0.405 0.282
60 S 0.425 0.728 0.219

Calculated values
The value obtained for the magnetic moment is 0.0 μB/f.u.

---

No. 5
Material: AcAu3
Method: DFT, PBE
State: optimized geometry

Cell lengths 6.915, 6.915, 4.768 Å; angles 90.00, 90.00, 120.00 degrees
Fractional coordinates of all 8 atoms:
1 Au 0.853 0.706 0.750
2 Ac 0.333 0.667 0.750
3 Au 0.147 0.294 0.250
4 Au 0.294 0.147 0.750
5 Au 0.853 0.147 0.750
6 Au 0.706 0.853 0.250
7 Ac 0.667 0.333 0.250
8 Au 0.147 0.853 0.250

---

No. 6
Material: Ba3La2Ti2Nb2O15
Method: DFT, PBE
State: optimized geometry

Cell lengths 5.725, 5.725, 11.760 Å; angles 90.00, 90.00, 120.00 degrees
Fractional coordinates of all 24 atoms:
1 O 0.169 0.338 0.191
2 Ba 0.667 0.333 0.576
3 O 0.169 0.831 0.191
4 O 0.662 0.831 0.191
5 Ti 0.667 0.333 0.903
6 O 0.828 0.657 0.379
7 Nb 0.000 0.000 0.695
8 O 0.657 0.828 0.621
9 Nb 0.000 0.000 0.305
10 O 0.831 0.169 0.809
11 La 0.667 0.333 0.213
12 Ba 0.000 0.000 0.000
13 O 0.343 0.172 0.379
14 O 0.172 0.343 0.621
15 O 0.000 0.500 0.000
16 O 0.338 0.169 0.809
17 Ti 0.333 0.667 0.097
18 O 0.500 0.000 0.000
19 La 0.333 0.667 0.787
20 O 0.500 0.500 0.000
21 O 0.831 0.662 0.809
22 O 0.172 0.828 0.621
23 Ba 0.333 0.667 0.424
24 O 0.828 0.172 0.379

Calculated values
The value obtained for the magnetic moment is 0.0 μB/f.u.

---

No. 7
Material: Cs2Tb6Te7N2
Method: DFT, PBE
State: optimized geometry

Cell lengths 12.313, 12.313, 11.517 Å; angles 76.55, 76.55, 19.71 degrees
Fractional coordinates of all 17 atoms:
1 Te 0.424 0.424 0.407
2 Tb 0.590 0.590 0.860
3 Cs 0.064 0.064 0.302
4 Te 0.000 0.000 0.000
5 Tb 0.216 0.216 0.872
6 Te 0.337 0.337 0.944
7 N 0.137 0.137 0.803
8 Cs 0.936 0.936 0.698
9 Tb 0.835 0.835 0.390
10 Te 0.759 0.759 0.661
11 Tb 0.410 0.410 0.140
12 Te 0.576 0.576 0.593
13 N 0.863 0.863 0.197
14 Te 0.241 0.241 0.339
15 Tb 0.784 0.784 0.128
16 Te 0.663 0.663 0.056
17 Tb 0.165 0.165 0.610

Calculated values
The value obtained for the magnetic moment is 0.0 μB/f.u. The energy relative to the lowest polymorph listed for this composition comes out at 0.003 eV per atom.

---

No. 8
Material: Ba3Br4Cl2
Method: DFT, PBE
State: optimized geometry

Cell lengths 8.335, 10.942, 13.908 Å; angles 72.02, 89.84, 89.79 degrees
Fractional coordinates of all 36 atoms:
1 Ba 0.740 0.502 0.626
2 Ba 0.238 0.004 0.377
3 Cl 0.859 0.038 0.394
4 Ba 0.240 0.672 0.704
5 Ba 0.741 0.170 0.958
6 Br 0.529 0.136 0.194
7 Br 0.529 0.469 0.859
8 Cl 0.858 0.371 0.061
9 Br 0.471 0.528 0.141
10 Cl 0.143 0.294 0.273
11 Br 0.029 0.698 0.474
12 Ba 0.254 0.170 0.710
13 Ba 0.764 0.326 0.287
14 Br 0.471 0.863 0.805
15 Cl 0.858 0.705 0.727
16 Br 0.470 0.195 0.473
17 Ba 0.240 0.330 0.046
18 Ba 0.755 0.658 0.954
19 Ba 0.255 0.503 0.376
20 Br 0.029 0.364 0.807
21 Br 0.645 0.871 0.061
22 Br 0.973 0.636 0.194
23 Br 0.529 0.803 0.526
24 Br 0.645 0.537 0.394
25 Br 0.145 0.629 0.939
26 Ba 0.740 0.835 0.293
27 Br 0.644 0.204 0.727
28 Br 0.029 0.032 0.141
29 Cl 0.355 0.797 0.274
30 Cl 0.143 0.962 0.605
31 Cl 0.356 0.463 0.606
32 Ba 0.256 0.842 0.046
33 Br 0.973 0.971 0.860
34 Br 0.973 0.303 0.526
35 Cl 0.356 0.130 0.939
36 Ba 0.764 0.992 0.621

---

No. 9
Material: HfZrSiS2O12
Method: DFT, PBE
State: optimized geometry

Cell lengths 9.015, 9.012, 23.160 Å; angles 90.04, 89.99, 119.99 degrees
Fractional coordinates of all 102 atoms:
1 O 0.170 0.200 0.695
2 O 0.154 0.694 0.469
3 O 0.478 0.310 0.739
4 S 0.290 0.002 0.250
5 O 0.513 0.636 0.865
6 Hf 0.648 0.324 0.978
7 O 0.692 0.537 0.242
8 O 0.818 0.027 0.802
9 O 0.637 0.124 0.135
10 Si 0.333 0.953 0.917
11 S 0.043 0.378 0.917
12 O 0.127 0.639 0.075
13 Zr 0.676 0.324 0.478
14 O 0.837 0.304 0.528
15 O 0.639 0.141 0.425
16 O 0.973 0.165 0.592
17 O 0.168 0.479 0.261
18 O 0.154 0.456 0.968
19 O 0.484 0.121 0.635
20 O 0.970 0.170 0.305
21 O 0.463 0.153 0.241
22 O 0.487 0.361 0.426
23 Hf 0.330 0.668 0.022
24 O 0.849 0.541 0.031
25 O 0.303 0.457 0.469
26 Si 0.998 0.295 0.250
27 O 0.786 0.967 0.699
28 O 0.873 0.517 0.425
29 S 0.667 0.624 0.583
30 O 0.311 0.481 0.762
31 O 0.193 0.166 0.092
32 O 0.819 0.786 0.302
33 O 0.125 0.486 0.865
34 O 0.789 0.816 0.198
35 Hf 0.665 0.337 0.189
36 O 0.865 0.363 0.640
37 O 0.644 0.516 0.925
38 S 0.711 0.999 0.751
39 Zr 0.670 0.337 0.689
40 O 0.204 0.020 0.591
41 O 0.698 0.154 0.031
42 Zr 0.989 0.008 0.356
43 S 0.001 0.712 0.750
44 O 0.023 0.205 0.908
45 O 0.358 0.871 0.575
46 Zr 0.012 0.019 0.144
47 O 0.816 0.022 0.091
48 O 0.028 0.820 0.408
49 O 0.693 0.543 0.531
50 O 0.453 0.152 0.532
51 O 0.513 0.872 0.075
52 O 0.362 0.861 0.860
53 O 0.305 0.833 0.973
54 Si 0.293 0.295 0.751
55 O 0.356 0.503 0.071
56 O 0.165 0.973 0.907
57 O 0.528 0.833 0.473
58 O 0.182 0.969 0.198
59 S 0.335 0.378 0.417
60 O 0.500 0.362 0.140
61 O 0.538 0.845 0.759
62 S 0.666 0.045 0.083
63 Zr 0.335 0.671 0.311
64 S 0.711 0.710 0.249
65 O 0.793 0.820 0.907
66 Zr 0.007 0.019 0.644
67 O 0.213 0.029 0.302
68 O 0.196 0.168 0.806
69 O 0.122 0.636 0.365
70 O 0.471 0.305 0.028
71 O 0.830 0.311 0.238
72 O 0.183 0.206 0.409
73 O 0.635 0.515 0.635
74 O 0.512 0.641 0.575
75 S 0.954 0.621 0.083
76 Si 0.961 0.339 0.584
77 S 0.045 0.669 0.417
78 O 0.309 0.848 0.257
79 O 0.029 0.816 0.698
80 O 0.690 0.150 0.742
81 O 0.818 0.793 0.592
82 S 0.377 0.042 0.583
83 O 0.848 0.540 0.743
84 O 0.970 0.790 0.802
85 O 0.148 0.503 0.571
86 O 0.029 0.199 0.194
87 O 0.874 0.361 0.926
88 Si 0.619 0.952 0.417
89 O 0.808 0.973 0.408
90 O 0.876 0.512 0.135
91 O 0.542 0.695 0.968
92 O 0.539 0.689 0.258
93 O 0.361 0.485 0.365
94 O 0.501 0.864 0.360
95 O 0.502 0.142 0.926
96 Si 0.380 0.339 0.084
97 Hf 0.338 0.668 0.522
98 Hf 0.335 0.671 0.811
99 Hf 0.019 0.008 0.856
100 O 0.153 0.691 0.759
101 S 0.623 0.668 0.917
102 O 0.974 0.791 0.092

Calculated values
The value obtained for the magnetic moment is 0.0 μB/f.u.

---

No. 10
Material: Li3FeS3
Method: DFT, PBE
State: optimized geometry

Cell lengths 6.691, 6.691, 6.315 Å; angles 83.52, 83.52, 116.33 degrees
Fractional coordinates of all 14 atoms:
1 S 0.509 0.832 0.262
2 Li 0.749 0.251 0.000
3 Li 0.251 0.749 0.000
4 S 0.491 0.168 0.738
5 Fe 0.825 0.825 0.135
6 S 0.117 0.117 0.231
7 Li 0.826 0.174 0.500
8 S 0.832 0.509 0.262
9 S 0.168 0.491 0.738
10 Li 0.174 0.826 0.500
11 Li 0.415 0.415 0.342
12 S 0.883 0.883 0.769
13 Fe 0.175 0.175 0.865
14 Li 0.585 0.585 0.658

Calculated values
The value obtained for the magnetic moment is 4.0 μB/f.u. The energy relative to the lowest polymorph listed for this composition comes out at 0.039 eV per atom.

---

No. 11
Material: CeMgZr7O16
Method: DFT, PBE
State: optimized geometry

Cell lengths 5.673, 7.164, 7.726 Å; angles 90.00, 90.00, 90.00 degrees
Fractional coordinates of all 25 atoms:
1 Zr 0.521 0.232 0.716
2 Zr 0.521 0.768 0.284
3 O 0.370 0.500 0.274
4 O 0.613 0.717 0.000
5 Mg 0.370 0.500 0.000
6 O 0.748 0.261 0.500
7 O 0.321 0.000 0.219
8 Ce 0.024 0.000 0.000
9 Zr 0.887 0.500 0.000
10 O 0.800 0.000 0.259
11 O 0.370 0.500 0.726
12 Zr 0.970 0.000 0.500
13 Zr 0.031 0.500 0.500
14 Zr 0.521 0.232 0.284
15 Zr 0.521 0.768 0.716
16 O 0.321 0.000 0.781
17 O 0.849 0.500 0.732
18 O 0.231 0.768 0.500
19 O 0.800 0.000 0.741
20 O 0.748 0.739 0.500
21 O 0.613 0.283 0.000
22 O 0.135 0.704 0.000
23 O 0.849 0.500 0.268
24 O 0.135 0.296 0.000
25 O 0.231 0.232 0.500

Calculated values
The value obtained for the magnetic moment is 0.0 μB/f.u. The energy relative to the lowest polymorph listed for this composition comes out at 0.000 eV per atom.

---

Number 1: energy of formation from the pure elements -429 meV per atom, final energy -48.0 eV/cell. Number 2: energy of formation from the pure elements -2892 meV per atom, final energy -132.6 eV/cell. Number 3: energy of formation from the pure elements -2670 meV per atom, final energy -190.7 eV/cell. Number 4: energy of formation from the pure elements -393 meV per atom, final energy -226.5 eV/cell. Number 5: energy of formation from the pure elements -689 meV per atom, final energy -33.4 eV/cell. Number 6: energy of formation from the pure elements -3460 meV per atom, final energy -198.6 eV/cell. Number 7: energy of formation from the pure elements -1510 meV per atom, final energy -93.2 eV/cell. Number 8: energy of formation from the pure elements -2479 meV per atom, final energy -148.3 eV/cell. Number 9: energy of formation from the pure elements -2824 meV per atom, final energy -788.0 eV/cell. Number 10: energy of formation from the pure elements -1093 meV per atom, final energy -65.5 eV/cell. Number 11: energy of formation from the pure elements -3573 meV per atom, final energy -224.9 eV/cell.